1.
DFT (GGA-PBE) results for a relaxed Na5TaIn3SiP5O24 crystal.

Structure (CIF):
```
data_Na5TaIn3SiP5O24
_cell_length_a 9.053
_cell_length_b 9.050
_cell_length_c 22.568
_cell_angle_alpha 90.03
_cell_angle_beta 90.12
_cell_angle_gamma 120.01
_symmetry_space_group_name_H-M 'P 1'
_symmetry_Int_Tables_number 1
_symmetry_space_group_name_Hall 'P 1'
loop_
_atom_site_label
_atom_site_fract_x
_atom_site_fract_y
_atom_site_fract_z
Na1 0.637 0.999 0.252
Na2 0.362 0.362 0.250
Na3 0.001 0.637 0.251
Na4 0.307 0.344 0.589
Na5 0.036 0.703 0.585
Na6 0.664 0.960 0.586
Na7 0.295 0.957 0.078
Na8 0.977 0.678 0.913
Na9 0.693 0.016 0.910
Na10 0.996 0.997 0.496
Na11 0.012 0.024 0.996
Na12 0.652 0.330 0.823
Na13 0.667 0.331 0.335
Na14 0.333 0.651 0.161
Na15 0.343 0.666 0.669
Ta1 0.666 0.333 0.979
Ta2 0.668 0.339 0.480
Ta3 0.329 0.665 0.815
In1 0.999 0.999 0.353
In2 0.008 0.009 0.848
In3 0.999 0.999 0.654
In4 0.994 0.001 0.144
In5 0.666 0.335 0.687
In6 0.669 0.336 0.180
In7 0.330 0.657 0.016
In8 0.336 0.667 0.512
In9 0.334 0.667 0.323
Si1 0.666 0.629 0.584
Si2 0.038 0.369 0.919
Si3 0.332 0.960 0.920
P1 0.296 0.999 0.248
P2 0.703 0.705 0.250
P3 0.002 0.296 0.250
P4 0.301 0.306 0.749
P5 0.004 0.700 0.752
P6 0.694 0.995 0.751
P7 0.958 0.334 0.583
P8 0.378 0.043 0.582
P9 0.963 0.631 0.084
P10 0.668 0.039 0.082
P11 0.374 0.335 0.084
P12 0.622 0.662 0.917
P13 0.638 0.975 0.417
P14 0.334 0.361 0.417
P15 0.029 0.665 0.418
O1 0.211 0.033 0.301
O2 0.818 0.783 0.305
O3 0.965 0.182 0.304
O4 0.211 0.194 0.802
O5 0.983 0.786 0.807
O6 0.799 0.013 0.807
O7 0.769 0.968 0.693
O8 0.201 0.236 0.690
O9 0.034 0.803 0.693
O10 0.779 0.817 0.194
O11 0.038 0.220 0.194
O12 0.191 0.968 0.190
O13 0.881 0.365 0.638
O14 0.490 0.113 0.637
O15 0.621 0.503 0.640
O16 0.886 0.540 0.143
O17 0.644 0.116 0.141
O18 0.461 0.348 0.144
O19 0.487 0.326 0.033
O20 0.848 0.523 0.030
O21 0.677 0.158 0.029
O22 0.478 0.159 0.528
O23 0.687 0.523 0.526
O24 0.840 0.313 0.528
O25 0.557 0.709 0.972
O26 0.146 0.440 0.978
O27 0.303 0.857 0.981
O28 0.553 0.869 0.473
O29 0.313 0.445 0.473
O30 0.134 0.684 0.474
O31 0.104 0.635 0.360
O32 0.532 0.899 0.360
O33 0.366 0.467 0.360
O34 0.139 0.502 0.863
O35 0.372 0.859 0.866
O36 0.502 0.631 0.863
O37 0.001 0.817 0.414
O38 0.818 0.999 0.414
O39 0.182 0.180 0.414
O40 0.982 0.171 0.910
O41 0.164 0.976 0.911
O42 0.804 0.808 0.907
O43 0.970 0.169 0.584
O44 0.206 0.043 0.585
O45 0.845 0.813 0.586
O46 0.974 0.807 0.080
O47 0.834 0.034 0.080
O48 0.205 0.162 0.080
O49 0.667 0.149 0.748
O50 0.481 0.331 0.748
O51 0.854 0.517 0.749
O52 0.681 0.522 0.245
O53 0.842 0.319 0.245
O54 0.479 0.158 0.245
O55 0.635 0.496 0.926
O56 0.852 0.372 0.925
O57 0.512 0.150 0.925
O58 0.653 0.155 0.425
O59 0.500 0.346 0.425
O60 0.849 0.497 0.424
O61 0.356 0.493 0.080
O62 0.144 0.655 0.082
O63 0.505 0.864 0.078
O64 0.343 0.859 0.574
O65 0.501 0.657 0.578
O66 0.137 0.493 0.576
O67 0.313 0.836 0.255
O68 0.522 0.684 0.256
O69 0.163 0.478 0.257
O70 0.316 0.486 0.758
O71 0.172 0.689 0.760
O72 0.514 0.828 0.759
```

The calculation puts the size of the total moment at 0.00 μB/f.u. The electronic total energy comes out at -0.4992 Ry per atom.

***

2.
DFT (GGA-PBE) results for a relaxed Na6TaIn3Si2P4O24 crystal.

Structure (CIF):
```
data_Na6TaIn3Si2P4O24
_cell_length_a 9.132
_cell_length_b 9.148
_cell_length_c 22.454
_cell_angle_alpha 90.05
_cell_angle_beta 89.86
_cell_angle_gamma 120.18
_symmetry_space_group_name_H-M 'P 1'
_symmetry_Int_Tables_number 1
_symmetry_space_group_name_Hall 'P 1'
loop_
_atom_site_label
_atom_site_fract_x
_atom_site_fract_y
_atom_site_fract_z
Na1 0.995 0.985 0.503
Na2 0.968 0.986 0.994
Na3 0.662 0.336 0.827
Na4 0.659 0.337 0.327
Na5 0.335 0.653 0.161
Na6 0.332 0.664 0.665
Na7 0.651 0.012 0.244
Na8 0.998 0.347 0.745
Na9 0.360 0.011 0.751
Na10 0.301 0.332 0.589
Na11 0.665 0.966 0.584
Na12 0.289 0.955 0.083
Na13 0.041 0.339 0.080
Na14 0.988 0.685 0.915
Na15 0.316 0.289 0.912
Na16 0.959 0.288 0.415
Na17 0.334 0.040 0.410
Na18 0.705 0.678 0.418
Ta1 0.666 0.333 0.978
Ta2 0.331 0.671 0.312
Ta3 0.340 0.665 0.819
In1 0.002 0.000 0.345
In2 0.997 0.999 0.850
In3 0.997 0.994 0.653
In4 0.998 0.993 0.149
In5 0.670 0.343 0.682
In6 0.661 0.338 0.186
In7 0.667 0.334 0.482
In8 0.343 0.670 0.016
In9 0.332 0.669 0.517
Si1 0.301 0.001 0.250
Si2 0.302 0.305 0.750
Si3 0.632 0.668 0.921
Si4 0.036 0.371 0.920
Si5 0.336 0.961 0.920
Si6 0.632 0.963 0.418
P1 0.696 0.701 0.254
P2 0.004 0.304 0.249
P3 0.008 0.699 0.753
P4 0.695 0.994 0.747
P5 0.967 0.331 0.583
P6 0.365 0.034 0.583
P7 0.669 0.636 0.579
P8 0.956 0.625 0.082
P9 0.669 0.044 0.085
P10 0.371 0.332 0.083
P11 0.332 0.375 0.417
P12 0.040 0.666 0.416
O1 0.220 0.022 0.312
O2 0.787 0.774 0.314
O3 0.969 0.192 0.305
O4 0.217 0.185 0.808
O5 0.982 0.771 0.811
O6 0.818 0.026 0.798
O7 0.759 0.964 0.687
O8 0.180 0.230 0.691
O9 0.039 0.814 0.699
O10 0.776 0.829 0.202
O11 0.033 0.226 0.192
O12 0.191 0.970 0.190
O13 0.880 0.343 0.640
O14 0.475 0.123 0.638
O15 0.646 0.518 0.631
O16 0.870 0.519 0.138
O17 0.655 0.121 0.144
O18 0.468 0.344 0.139
O19 0.475 0.326 0.027
O20 0.850 0.526 0.025
O21 0.678 0.165 0.033
O22 0.445 0.138 0.525
O23 0.687 0.562 0.519
O24 0.866 0.317 0.525
O25 0.563 0.704 0.980
O26 0.144 0.447 0.980
O27 0.294 0.850 0.980
O28 0.558 0.855 0.479
O29 0.305 0.444 0.477
O30 0.143 0.692 0.473
O31 0.140 0.651 0.362
O32 0.503 0.850 0.362
O33 0.339 0.492 0.365
O34 0.139 0.505 0.863
O35 0.362 0.863 0.862
O36 0.500 0.638 0.864
O37 0.016 0.821 0.411
O38 0.822 0.989 0.411
O39 0.179 0.194 0.412
O40 0.013 0.187 0.911
O41 0.180 0.995 0.912
O42 0.826 0.810 0.909
O43 0.977 0.164 0.583
O44 0.189 0.022 0.587
O45 0.824 0.817 0.585
O46 0.971 0.802 0.081
O47 0.837 0.041 0.082
O48 0.196 0.163 0.080
O49 0.671 0.151 0.745
O50 0.488 0.321 0.745
O51 0.864 0.512 0.746
O52 0.674 0.526 0.247
O53 0.851 0.330 0.246
O54 0.499 0.153 0.249
O55 0.629 0.483 0.924
O56 0.854 0.371 0.924
O57 0.512 0.149 0.926
O58 0.637 0.146 0.416
O59 0.501 0.373 0.415
O60 0.865 0.500 0.416
O61 0.340 0.483 0.081
O62 0.135 0.644 0.081
O63 0.505 0.870 0.081
O64 0.353 0.859 0.582
O65 0.504 0.648 0.581
O66 0.151 0.484 0.582
O67 0.319 0.826 0.258
O68 0.513 0.680 0.259
O69 0.168 0.480 0.259
O70 0.315 0.492 0.760
O71 0.178 0.692 0.757
O72 0.514 0.837 0.758
```

The calculation puts the size of the total moment at 0.00 μB/f.u. The energy above the most stable polymorph in this dataset is 0 meV/atom.

***

3.
DFT (GGA-PBE) results for a relaxed Na6TaIn3Si2P4O24 crystal.

Structure (CIF):
```
data_Na6TaIn3Si2P4O24
_cell_length_a 15.795
_cell_length_b 9.112
_cell_length_c 9.113
_cell_angle_alpha 90.19
_cell_angle_beta 125.11
_cell_angle_gamma 89.83
_symmetry_space_group_name_H-M 'P 1'
_symmetry_Int_Tables_number 1
_symmetry_space_group_name_Hall 'P 1'
loop_
_atom_site_label
_atom_site_fract_x
_atom_site_fract_y
_atom_site_fract_z
Na1 0.250 0.752 0.996
Na2 0.745 0.754 0.484
Na3 0.750 0.252 0.996
Na4 0.245 0.254 0.484
Na5 0.499 0.088 0.738
Na6 0.505 0.886 0.251
Na7 0.999 0.588 0.738
Na8 0.005 0.386 0.251
Na9 0.190 0.930 0.292
Na10 0.809 0.081 0.709
Na11 0.690 0.430 0.292
Na12 0.309 0.581 0.709
Ta1 0.896 0.747 0.943
Ta2 0.396 0.247 0.943
In1 0.101 0.756 0.558
In2 0.897 0.244 0.439
In3 0.103 0.251 0.051
In4 0.601 0.256 0.558
In5 0.397 0.744 0.439
In6 0.603 0.751 0.051
Si1 0.351 0.902 0.754
Si2 0.652 0.102 0.252
Si3 0.851 0.402 0.754
Si4 0.152 0.602 0.252
P1 0.001 0.948 0.760
P2 0.997 0.045 0.246
P3 0.501 0.448 0.760
P4 0.497 0.545 0.246
P5 0.649 0.894 0.740
P6 0.355 0.104 0.256
P7 0.149 0.394 0.740
P8 0.855 0.604 0.256
O1 0.157 0.564 0.743
O2 0.846 0.586 0.773
O3 0.852 0.435 0.235
O4 0.155 0.424 0.245
O5 0.657 0.064 0.743
O6 0.346 0.086 0.773
O7 0.352 0.935 0.235
O8 0.655 0.924 0.245
O9 0.431 0.547 0.596
O10 0.571 0.534 0.935
O11 0.557 0.452 0.415
O12 0.437 0.443 0.076
O13 0.931 0.047 0.596
O14 0.071 0.034 0.935
O15 0.057 0.952 0.415
O16 0.937 0.943 0.076
O17 0.256 0.825 0.747
O18 0.749 0.834 0.765
O19 0.736 0.194 0.239
O20 0.258 0.157 0.244
O21 0.756 0.325 0.747
O22 0.249 0.334 0.765
O23 0.236 0.694 0.239
O24 0.758 0.657 0.244
O25 0.353 0.885 0.576
O26 0.646 0.855 0.899
O27 0.658 0.143 0.431
O28 0.359 0.168 0.099
O29 0.853 0.385 0.576
O30 0.146 0.355 0.899
O31 0.158 0.643 0.431
O32 0.859 0.668 0.099
O33 0.456 0.842 0.933
O34 0.555 0.834 0.560
O35 0.533 0.168 0.080
O36 0.452 0.152 0.436
O37 0.956 0.342 0.933
O38 0.055 0.334 0.560
O39 0.033 0.668 0.080
O40 0.952 0.652 0.436
O41 0.066 0.831 0.745
O42 0.919 0.855 0.771
O43 0.919 0.151 0.240
O44 0.080 0.136 0.244
O45 0.566 0.331 0.745
O46 0.419 0.355 0.771
O47 0.419 0.651 0.240
O48 0.580 0.636 0.244
```

The calculation puts the size of the total moment at 0.00 μB/f.u. The energy above the most stable polymorph in this dataset is 2 meV/atom.

***

4.
DFT (GGA-PBE) results for a relaxed Na3Ta3InSi3P3O24 crystal.

Structure (CIF):
```
data_Na3Ta3InSi3P3O24
_cell_length_a 8.910
_cell_length_b 8.916
_cell_length_c 22.719
_cell_angle_alpha 89.95
_cell_angle_beta 90.01
_cell_angle_gamma 119.84
_symmetry_space_group_name_H-M 'P 1'
_symmetry_Int_Tables_number 1
_symmetry_space_group_name_Hall 'P 1'
loop_
_atom_site_label
_atom_site_fract_x
_atom_site_fract_y
_atom_site_fract_z
Na1 0.643 0.004 0.248
Na2 0.371 0.358 0.246
Na3 0.710 0.677 0.413
Na4 0.011 0.011 0.493
Na5 0.003 0.003 0.999
Na6 0.668 0.334 0.829
Na7 0.683 0.343 0.331
Na8 0.323 0.661 0.163
Na9 0.339 0.665 0.664
Ta1 0.001 0.002 0.857
Ta2 0.999 0.998 0.643
Ta3 0.997 0.996 0.145
Ta4 0.661 0.332 0.977
Ta5 0.668 0.334 0.479
Ta6 0.335 0.665 0.018
Ta7 0.334 0.666 0.521
Ta8 0.332 0.667 0.314
Ta9 0.333 0.666 0.812
In1 0.003 0.000 0.357
In2 0.664 0.334 0.688
In3 0.672 0.346 0.180
Si1 0.708 0.704 0.253
Si2 0.663 0.622 0.586
Si3 0.370 0.333 0.085
Si4 0.621 0.666 0.915
Si5 0.045 0.382 0.915
Si6 0.336 0.954 0.916
Si7 0.618 0.960 0.417
Si8 0.333 0.376 0.417
Si9 0.044 0.662 0.419
P1 0.288 0.994 0.249
P2 0.001 0.290 0.249
P3 0.284 0.287 0.751
P4 0.004 0.717 0.751
P5 0.713 0.997 0.750
P6 0.957 0.335 0.585
P7 0.378 0.043 0.585
P8 0.962 0.627 0.082
P9 0.665 0.041 0.084
O1 0.217 0.039 0.302
O2 0.805 0.785 0.313
O3 0.970 0.182 0.304
O4 0.183 0.178 0.805
O5 0.993 0.816 0.805
O6 0.822 0.009 0.805
O7 0.807 0.980 0.695
O8 0.174 0.196 0.695
O9 0.022 0.828 0.695
O10 0.811 0.834 0.196
O11 0.030 0.198 0.194
O12 0.174 0.977 0.193
O13 0.887 0.367 0.641
O14 0.484 0.107 0.641
O15 0.624 0.510 0.644
O16 0.902 0.525 0.139
O17 0.636 0.107 0.142
O18 0.467 0.369 0.147
O19 0.478 0.311 0.030
O20 0.842 0.534 0.029
O21 0.693 0.163 0.031
O22 0.468 0.162 0.531
O23 0.695 0.531 0.527
O24 0.837 0.303 0.531
O25 0.532 0.699 0.972
O26 0.169 0.473 0.972
O27 0.304 0.834 0.973
O28 0.513 0.836 0.472
O29 0.321 0.482 0.474
O30 0.158 0.676 0.476
O31 0.138 0.638 0.359
O32 0.502 0.868 0.356
O33 0.366 0.499 0.357
O34 0.138 0.503 0.857
O35 0.365 0.861 0.858
O36 0.498 0.635 0.857
O37 0.012 0.823 0.418
O38 0.800 0.968 0.417
O39 0.166 0.191 0.416
O40 0.024 0.190 0.907
O41 0.167 0.978 0.907
O42 0.812 0.836 0.907
O43 0.977 0.169 0.591
O44 0.196 0.032 0.592
O45 0.841 0.816 0.593
O46 0.972 0.807 0.089
O47 0.831 0.021 0.089
O48 0.178 0.157 0.089
O49 0.696 0.159 0.749
O50 0.461 0.300 0.752
O51 0.844 0.538 0.750
O52 0.668 0.508 0.248
O53 0.841 0.308 0.240
O54 0.475 0.142 0.241
O55 0.641 0.495 0.925
O56 0.855 0.360 0.927
O57 0.508 0.144 0.925
O58 0.626 0.145 0.425
O59 0.517 0.376 0.425
O60 0.854 0.482 0.425
O61 0.343 0.501 0.073
O62 0.148 0.662 0.071
O63 0.508 0.858 0.073
O64 0.340 0.856 0.574
O65 0.503 0.660 0.576
O66 0.141 0.488 0.575
O67 0.292 0.821 0.253
O68 0.515 0.698 0.253
O69 0.172 0.469 0.253
O70 0.296 0.468 0.755
O71 0.175 0.708 0.755
O72 0.534 0.828 0.755
```

The calculation puts the size of the total moment at 0.00 μB/f.u. The electronic total energy comes out at -0.5696 Ry per atom.